{"formula": "MgCd", "functional": "PBE", "state": "relaxed", "volume_a3_per_cell": 43, "formation_energy_ev_per_atom": -0.09, "cell": [[-3.166, 0.011, 0.705], [-0.194, -3.132, -0.823], [0.862, -1.075, 3.885]], "species": ["Mg", "Cd"], "frac_coords": [[0.500, 0.500, 0.500], [0.000, 0.000, 0.000]]}